1.
# K6Tl17 | Materials Project | PBE-GGA | optimized geometry
data_K6Tl17
_cell_length_a 15.149
_cell_length_b 15.149
_cell_length_c 15.487
_cell_angle_alpha 90.00
_cell_angle_beta 90.00
_cell_angle_gamma 111.25
_symmetry_space_group_name_H-M 'P 1'
_symmetry_Int_Tables_number 1
loop_
_symmetry_equiv_pos_as_xyz
'x,y,z'
loop_
_atom_site_label
_atom_site_fract_x
_atom_site_fract_y
_atom_site_fract_z
_atom_site_occupancy
K1 0.061 0.391 0.212 1
K2 0.061 0.391 0.788 1
K3 0.109 0.781 0.000 1
K4 0.116 0.425 0.500 1
K5 0.194 0.250 0.000 1
K6 0.219 0.891 0.500 1
K7 0.250 0.194 0.500 1
K8 0.278 0.278 0.250 1
K9 0.278 0.278 0.750 1
K10 0.391 0.061 0.288 1
K11 0.391 0.061 0.712 1
K12 0.425 0.116 0.000 1
K13 0.575 0.884 0.000 1
K14 0.609 0.939 0.288 1
K15 0.609 0.939 0.712 1
K16 0.722 0.722 0.250 1
K17 0.722 0.722 0.750 1
K18 0.750 0.806 0.500 1
K19 0.781 0.109 0.500 1
K20 0.806 0.750 0.000 1
K21 0.884 0.575 0.500 1
K22 0.891 0.219 0.000 1
K23 0.939 0.609 0.212 1
K24 0.939 0.609 0.788 1
Tl1 0.000 0.000 0.000 1
Tl2 0.000 0.000 0.500 1
Tl3 0.029 0.120 0.178 1
Tl4 0.029 0.120 0.822 1
Tl5 0.030 0.203 0.378 1
Tl6 0.030 0.203 0.622 1
Tl7 0.116 0.507 0.000 1
Tl8 0.120 0.029 0.322 1
Tl9 0.120 0.029 0.678 1
Tl10 0.121 0.648 0.378 1
Tl11 0.121 0.648 0.622 1
Tl12 0.162 0.838 0.250 1
Tl13 0.162 0.838 0.750 1
Tl14 0.203 0.030 0.122 1
Tl15 0.203 0.030 0.878 1
Tl16 0.207 0.648 0.172 1
Tl17 0.207 0.648 0.828 1
Tl18 0.296 0.548 0.315 1
Tl19 0.296 0.548 0.685 1
Tl20 0.311 0.663 0.500 1
Tl21 0.316 0.484 0.111 1
Tl22 0.316 0.484 0.889 1
Tl23 0.337 0.689 0.000 1
Tl24 0.352 0.793 0.328 1
Tl25 0.352 0.793 0.672 1
Tl26 0.352 0.879 0.122 1
Tl27 0.352 0.879 0.878 1
Tl28 0.378 0.466 0.500 1
Tl29 0.452 0.704 0.185 1
Tl30 0.452 0.704 0.815 1
Tl31 0.466 0.378 0.000 1
Tl32 0.484 0.316 0.389 1
Tl33 0.484 0.316 0.611 1
Tl34 0.493 0.884 0.500 1
Tl35 0.500 0.500 0.250 1
Tl36 0.500 0.500 0.750 1
Tl37 0.507 0.116 0.500 1
Tl38 0.516 0.684 0.389 1
Tl39 0.516 0.684 0.611 1
Tl40 0.534 0.622 0.000 1
Tl41 0.548 0.296 0.185 1
Tl42 0.548 0.296 0.815 1
Tl43 0.622 0.534 0.500 1
Tl44 0.648 0.121 0.122 1
Tl45 0.648 0.121 0.878 1
Tl46 0.648 0.207 0.328 1
Tl47 0.648 0.207 0.672 1
Tl48 0.663 0.311 0.000 1
Tl49 0.684 0.516 0.111 1
Tl50 0.684 0.516 0.889 1
Tl51 0.689 0.337 0.500 1
Tl52 0.704 0.452 0.315 1
Tl53 0.704 0.452 0.685 1
Tl54 0.793 0.352 0.172 1
Tl55 0.793 0.352 0.828 1
Tl56 0.797 0.970 0.122 1
Tl57 0.797 0.970 0.878 1
Tl58 0.838 0.162 0.250 1
Tl59 0.838 0.162 0.750 1
Tl60 0.879 0.352 0.378 1
Tl61 0.879 0.352 0.622 1
Tl62 0.880 0.971 0.322 1
Tl63 0.880 0.971 0.678 1
Tl64 0.884 0.493 0.000 1
Tl65 0.970 0.797 0.378 1
Tl66 0.970 0.797 0.622 1
Tl67 0.971 0.880 0.178 1
Tl68 0.971 0.880 0.822 1
# Symmetry: No. 66
# Spin magnetization (μB per atom): 0.006
# Total energy (eV per atom): -2.1237

***

2.
# K8Tl10Zn | Materials Project | PBE-GGA | optimized geometry
data_K8Tl10Zn
_cell_length_a 10.478
_cell_length_b 10.478
_cell_length_c 14.174
_cell_angle_alpha 90.00
_cell_angle_beta 90.00
_cell_angle_gamma 90.00
_symmetry_space_group_name_H-M 'P 1'
_symmetry_Int_Tables_number 1
loop_
_symmetry_equiv_pos_as_xyz
'x,y,z'
loop_
_atom_site_label
_atom_site_fract_x
_atom_site_fract_y
_atom_site_fract_z
_atom_site_occupancy
K1 0.046 0.677 0.105 1
K2 0.046 0.823 0.395 1
K3 0.177 0.546 0.605 1
K4 0.177 0.954 0.895 1
K5 0.323 0.546 0.895 1
K6 0.323 0.954 0.605 1
K7 0.454 0.677 0.395 1
K8 0.454 0.823 0.105 1
K9 0.546 0.177 0.895 1
K10 0.546 0.323 0.605 1
K11 0.677 0.046 0.395 1
K12 0.677 0.454 0.105 1
K13 0.823 0.046 0.105 1
K14 0.823 0.454 0.395 1
K15 0.954 0.177 0.605 1
K16 0.954 0.323 0.895 1
Tl1 0.011 0.155 0.340 1
Tl2 0.011 0.345 0.160 1
Tl3 0.155 0.011 0.160 1
Tl4 0.155 0.489 0.340 1
Tl5 0.250 0.250 0.040 1
Tl6 0.250 0.250 0.460 1
Tl7 0.345 0.011 0.340 1
Tl8 0.345 0.489 0.160 1
Tl9 0.489 0.155 0.160 1
Tl10 0.489 0.345 0.340 1
Tl11 0.511 0.655 0.660 1
Tl12 0.511 0.845 0.840 1
Tl13 0.655 0.511 0.840 1
Tl14 0.655 0.989 0.660 1
Tl15 0.750 0.750 0.540 1
Tl16 0.750 0.750 0.960 1
Tl17 0.845 0.511 0.660 1
Tl18 0.845 0.989 0.840 1
Tl19 0.989 0.655 0.840 1
Tl20 0.989 0.845 0.660 1
Zn1 0.250 0.250 0.250 1
Zn2 0.750 0.750 0.750 1
# Symmetry: No. 126
# Total energy (eV per atom): -1.9128

***

3.
# K3Tm | Materials Project | PBE-GGA | optimized geometry
data_K3Tm
_cell_length_a 6.074
_cell_length_b 6.074
_cell_length_c 6.074
_cell_angle_alpha 90.00
_cell_angle_beta 90.00
_cell_angle_gamma 90.00
_symmetry_space_group_name_H-M 'P 1'
_symmetry_Int_Tables_number 1
loop_
_symmetry_equiv_pos_as_xyz
'x,y,z'
loop_
_atom_site_label
_atom_site_fract_x
_atom_site_fract_y
_atom_site_fract_z
_atom_site_occupancy
K1 0.000 0.000 0.500 1
K2 0.000 0.500 0.000 1
K3 0.500 0.000 0.000 1
Tm1 0.500 0.500 0.500 1
# Symmetry: No. 221
# Spin magnetization (μB per atom): 0.092
# Total energy (eV per atom): -1.3675

***

4.
# KTm | Materials Project | PBE-GGA | optimized geometry
data_KTm
_cell_length_a 3.597
_cell_length_b 3.597
_cell_length_c 7.165
_cell_angle_alpha 90.00
_cell_angle_beta 90.00
_cell_angle_gamma 120.00
_symmetry_space_group_name_H-M 'P 1'
_symmetry_Int_Tables_number 1
loop_
_symmetry_equiv_pos_as_xyz
'x,y,z'
loop_
_atom_site_label
_atom_site_fract_x
_atom_site_fract_y
_atom_site_fract_z
_atom_site_occupancy
K1 0.000 0.000 0.000 1
Tm1 0.667 0.333 0.500 1
# Symmetry: No. 187
# Spin magnetization (μB per atom): 0.001
# Total energy (eV per atom): -2.2425

***

5.
# K3Tm | Materials Project | PBE-GGA | optimized geometry
data_K3Tm
_cell_length_a 6.833
_cell_length_b 6.833
_cell_length_c 6.833
_cell_angle_alpha 60.00
_cell_angle_beta 60.00
_cell_angle_gamma 60.00
_symmetry_space_group_name_H-M 'P 1'
_symmetry_Int_Tables_number 1
loop_
_symmetry_equiv_pos_as_xyz
'x,y,z'
loop_
_atom_site_label
_atom_site_fract_x
_atom_site_fract_y
_atom_site_fract_z
_atom_site_occupancy
K1 0.000 0.000 0.000 1
K2 0.250 0.250 0.250 1
K3 0.750 0.750 0.750 1
Tm1 0.500 0.500 0.500 1
# Symmetry: No. 225
# Spin magnetization (μB per atom): 0.043
# Total energy (eV per atom): -1.3683

***

6.
# K3Tm | Materials Project | PBE-GGA | optimized geometry
data_K3Tm
_cell_length_a 8.586
_cell_length_b 8.586
_cell_length_c 7.079
_cell_angle_alpha 90.00
_cell_angle_beta 90.00
_cell_angle_gamma 120.00
_symmetry_space_group_name_H-M 'P 1'
_symmetry_Int_Tables_number 1
loop_
_symmetry_equiv_pos_as_xyz
'x,y,z'
loop_
_atom_site_label
_atom_site_fract_x
_atom_site_fract_y
_atom_site_fract_z
_atom_site_occupancy
K1 0.172 0.343 0.250 1
K2 0.172 0.828 0.250 1
K3 0.343 0.172 0.750 1
K4 0.657 0.828 0.250 1
K5 0.828 0.172 0.750 1
K6 0.828 0.657 0.750 1
Tm1 0.333 0.667 0.750 1
Tm2 0.667 0.333 0.250 1
# Symmetry: No. 194
# Spin magnetization (μB per atom): 0.103
# Total energy (eV per atom): -1.3716

***

7.
# K3U | Materials Project | PBE-GGA | optimized geometry
data_K3U
_cell_length_a 6.127
_cell_length_b 6.127
_cell_length_c 6.127
_cell_angle_alpha 90.00
_cell_angle_beta 90.00
_cell_angle_gamma 90.00
_symmetry_space_group_name_H-M 'P 1'
_symmetry_Int_Tables_number 1
loop_
_symmetry_equiv_pos_as_xyz
'x,y,z'
loop_
_atom_site_label
_atom_site_fract_x
_atom_site_fract_y
_atom_site_fract_z
_atom_site_occupancy
K1 0.000 0.000 0.500 1
K2 0.000 0.500 0.000 1
K3 0.500 0.000 0.000 1
U1 0.500 0.500 0.500 1
# Symmetry: No. 221
# Spin magnetization (μB per atom): 1.341
# Total energy (eV per atom): -2.5009

***

8.
# K3V | Materials Project | PBE-GGA | optimized geometry
data_K3V
_cell_length_a 6.518
_cell_length_b 6.518
_cell_length_c 6.518
_cell_angle_alpha 60.00
_cell_angle_beta 60.00
_cell_angle_gamma 60.00
_symmetry_space_group_name_H-M 'P 1'
_symmetry_Int_Tables_number 1
loop_
_symmetry_equiv_pos_as_xyz
'x,y,z'
loop_
_atom_site_label
_atom_site_fract_x
_atom_site_fract_y
_atom_site_fract_z
_atom_site_occupancy
K1 0.000 0.000 0.000 1
K2 0.250 0.250 0.250 1
K3 0.750 0.750 0.750 1
V1 0.500 0.500 0.500 1
# Symmetry: No. 225
# Spin magnetization (μB per atom): 1.219
# Total energy (eV per atom): -2.2209

***

| no. | energy relative to the elements (meV per atom) |
| --- | --- |
| 1 | -87.7 |
| 2 | -135.5 |
| 3 | 584.2 |
| 4 | 550.6 |
| 5 | 583.5 |
| 6 | 580.1 |
| 7 | 1154.7 |
| 8 | 882.9 |